(1)
DFT (PBE+U) results for LiMnF5 after structural relaxation.

Results
**Crystal system**: monoclinic
**Formation energy**: -2684 meV per atom
**Energy above the most stable polymorph in this dataset**: 0 meV/atom

Cell: 7.371 6.393 8.253 Å, 90.00 116.20 90.00°
Space group P2_1/c (No. 14)
Inequivalent atoms, fractional coordinates:
1 Li 0.248 0.022 0.000 [4 per cell]
2 Mn 0.000 0.000 0.500 [2 per cell]
3 Mn 0.500 0.000 0.500 [2 per cell]
4 F 0.058 0.222 0.020 [4 per cell]
5 F 0.112 0.527 0.243 [4 per cell]
6 F 0.252 0.581 0.003 [4 per cell]
7 F 0.382 0.524 0.757 [4 per cell]
8 F 0.443 0.222 0.984 [4 per cell]



(2)
DFT (PBE+U) results for LiMnF3 after structural relaxation.

Results
**Crystal system**: triclinic
**Formation energy**: -3014 meV per atom
**Spin magnetization**: 30.00 μB/cell
**Energy above the most stable polymorph in this dataset**: 11 meV/atom

Cell: 5.937 5.938 11.677 Å, 89.97 89.91 60.01°
Space group P1 (No. 1)
Inequivalent atoms, fractional coordinates:
1 Li 0.000 0.000 0.000 [1 per cell]
2 Li 0.000 0.325 0.499 [1 per cell]
3 Li 0.326 0.675 0.500 [1 per cell]
4 Li 0.330 0.328 0.001 [1 per cell]
5 Li 0.651 0.999 0.499 [1 per cell]
6 Li 0.656 0.671 0.001 [1 per cell]
7 Mn 0.327 0.999 0.246 [1 per cell]
8 Mn 0.329 0.000 0.752 [1 per cell]
9 Mn 0.661 0.332 0.218 [1 per cell]
10 Mn 0.662 0.333 0.717 [1 per cell]
11 Mn 0.994 0.666 0.283 [1 per cell]
12 Mn 0.995 0.666 0.783 [1 per cell]
13 F 0.015 0.956 0.173 [1 per cell]
14 F 0.018 0.353 0.674 [1 per cell]
15 F 0.285 0.355 0.173 [1 per cell]
16 F 0.286 0.688 0.674 [1 per cell]
17 F 0.326 0.000 0.501 [1 per cell]
18 F 0.328 0.000 0.003 [1 per cell]
19 F 0.370 0.648 0.326 [1 per cell]
20 F 0.373 0.310 0.828 [1 per cell]
21 F 0.636 0.042 0.326 [1 per cell]
22 F 0.639 0.646 0.828 [1 per cell]
23 F 0.661 0.333 0.534 [1 per cell]
24 F 0.662 0.333 0.034 [1 per cell]
25 F 0.682 0.956 0.674 [1 per cell]
26 F 0.684 0.686 0.173 [1 per cell]
27 F 0.975 0.043 0.828 [1 per cell]
28 F 0.976 0.307 0.326 [1 per cell]
29 F 0.992 0.667 0.465 [1 per cell]
30 F 0.996 0.666 0.967 [1 per cell]



The lowest energy above the most stable polymorph in this dataset belongs to which entry?
LiMnF5